No. 1
Te2OsCl12 after structural relaxation, computed with PBE-GGA.

a = 6.7710 Å, b = 7.1538 Å, c = 11.2993 Å
α = 71.68°, β = 75.64°, γ = 62.76°
Last column: nearest neighbours and their distance in Å.
Positions (direct):
Te (0.2384, 0.2441, 0.2604)  3 Cl 2.35-2.36
Te (0.7616, 0.7559, 0.7396)  3 Cl 2.35-2.36
Os (0.5000, 0.5000, 0.5000)  6 Cl 2.34-2.35
Cl (0.0151, 0.5900, 0.1500)  1 Te 2.35
Cl (0.0730, 0.0671, 0.1998)  1 Te 2.36
Cl (0.1101, 0.6982, 0.5177)  1 Os 2.35
Cl (0.4480, 0.1806, 0.5962)  1 Os 2.35
Cl (0.4718, 0.8151, 0.9084)  1 Te 2.36
Cl (0.4909, 0.4623, 0.3031)  1 Os 2.34
Cl (0.5091, 0.5377, 0.6969)  1 Os 2.34
Cl (0.5282, 0.1849, 0.0916)  1 Te 2.36
Cl (0.5520, 0.8194, 0.4038)  1 Os 2.35
Cl (0.8899, 0.3018, 0.4823)  1 Os 2.35
Cl (0.9270, 0.9329, 0.8002)  1 Te 2.36
Cl (0.9849, 0.4100, 0.8500)  1 Te 2.35

Computed properties:
DFT formation energy: -1010.5 meV/atom
crystal system: triclinic

=====

No. 2
VOsCl after structural relaxation, computed with PBE-GGA.

a = 4.1361 Å, b = 4.1361 Å, c = 4.1361 Å
α = 60.00°, β = 60.00°, γ = 60.00°
Last column: nearest neighbours and their distance in Å.
Positions (direct):
V (0.0000, 0.0000, 0.0000)  4 Cl 2.53, 4 Os 2.53
Os (0.2500, 0.2500, 0.2500)  4 V 2.53
Cl (0.7500, 0.7500, 0.7500)  4 V 2.53

Computed properties:
DFT formation energy: 636.2 meV/atom
crystal system: cubic